A relaxed Na4P2H4CO9 crystal, computed with GGA-PBE.

Values from the calculation:
energy relative to the elements = -38.9 eV/f.u.
piezoelectric modulus e_max = 0.10 C/m²
final energy = -116.21 eV per formula unit

```
data_Na4P2H4CO9
_chemical_formula_sum 'Na8 P4 H8 C2 O18'
_symmetry_space_group_name_H-M 'P -4'
_symmetry_Int_Tables_number 81
_symmetry_space_group_name_Hall 'P -4'
_cell_length_a 8.539
_cell_length_b 8.539
_cell_length_c 6.505
_cell_angle_alpha 90.00
_cell_angle_beta 90.00
_cell_angle_gamma 90.00
loop_
_atom_site_label
_atom_site_type_symbol
_atom_site_fract_x
_atom_site_fract_y
_atom_site_fract_z
Na1 Na 0.039 0.700 0.137
Na2 Na 0.319 0.429 0.299
P1 P 0.169 0.410 0.793
H1 H 0.078 0.822 0.711
H2 H 0.144 0.190 0.480
C1 C 0.000 0.500 0.648
O1 O 0.000 0.500 0.456
O2 O 0.111 0.237 0.805
O3 O 0.153 0.187 0.329
O4 O 0.176 0.489 0.004
O5 O 0.316 0.430 0.663
```